VASP calculation (PBE+U) on a relaxed LiV3P6O20 crystal.

Computed properties:
crystal system	orthorhombic
excess energy over the best structure of this formula in the dataset	0.036	eV per atom

Unit cell a=10.2693 b=13.3495 c=12.2868 alpha=90.00 beta=90.00 gamma=90.00
Last column: nearest neighbours and their distance in Å.
Space group C222_1 (No. 20)
Symmetry-distinct sites (fractional):
Li  0.0841  0.0000  0.0000 (multiplicity 4)  2 O 2.00
V  0.0000  0.1984  0.2500 (multiplicity 4)  6 O 1.96-2.08
V  0.0000  0.2635  0.7500 (multiplicity 4)  6 O 1.98-2.05
V  0.1273  0.5000  0.5000 (multiplicity 4)  4 O 1.87-1.96
P  0.0575  0.2929  0.0142 (multiplicity 8)  4 O 1.51-1.65
P  0.2303  0.3575  0.1853 (multiplicity 8)  4 O 1.50-1.61
P  0.2419  0.4418  0.7196 (multiplicity 8)  4 O 1.51-1.62
O  0.0224  0.2013  0.0820 (multiplicity 8)  1 P 1.52
O  0.0360  0.3827  0.4678 (multiplicity 8)  1 P 1.55
O  0.0823  0.2690  0.8958 (multiplicity 8)  1 P 1.51
O  0.1252  0.1528  0.7018 (multiplicity 8)  1 P 1.50
O  0.1311  0.3694  0.7033 (multiplicity 8)  1 P 1.51
O  0.1323  0.0939  0.2701 (multiplicity 8)  1 P 1.51
O  0.1403  0.2996  0.2592 (multiplicity 8)  1 P 1.51
O  0.1890  0.4731  0.1972 (multiplicity 8)  2 P 1.61-1.62
O  0.1973  0.3360  0.0598 (multiplicity 8)  2 P 1.60-1.65
O  0.2310  0.0063  0.1067 (multiplicity 8)  1 P 1.58

VASP calculation (PBE+U) on a relaxed NiPb2N6O12 crystal.

Computed properties:
crystal system	cubic

Unit cell a=10.0176 b=10.0176 c=10.0176 alpha=90.00 beta=90.00 gamma=90.00
Last column: nearest neighbours and their distance in Å.
Space group Fm-3m (No. 225)
Symmetry-distinct sites (fractional):
Ni  0.0000  0.0000  0.0000 (multiplicity 4)  6 N 2.04
Pb  0.2500  0.2500  0.2500 (multiplicity 8)  12 O 2.67
N  0.0000  0.0000  0.2034 (multiplicity 24)  4 O 1.86, 1 Ni 2.04
O  0.0000  0.1851  0.1851 (multiplicity 48)  1 O 1.84, 2 N 1.86

VASP calculation (PBE+U) on a relaxed Li9Mn2Co5O16 crystal.

Computed properties:
crystal system	triclinic
excess energy over the best structure of this formula in the dataset	0.009	eV per atom

Unit cell a=2.9009 b=10.1101 c=10.6101 alpha=113.78 beta=96.53 gamma=90.78
Last column: nearest neighbours and their distance in Å.
Space group P-1 (No. 2)
Symmetry-distinct sites (fractional):
Li  0.0000  0.0000  0.0000 (multiplicity 1)  6 O 2.08-2.14
Li  0.1170  0.9414  0.2449 (multiplicity 2)  6 O 1.99-2.21
Li  0.1228  0.4383  0.2500 (multiplicity 2)  6 O 2.05-2.23
Li  0.3725  0.3139  0.7480 (multiplicity 2)  6 O 2.09-2.23
Li  0.3759  0.8244  0.7578 (multiplicity 2)  6 O 2.12-2.24
Mn  0.4983  0.2437  0.9977 (multiplicity 2)  5 O 1.82-2.00
Co  0.0000  0.5000  0.0000 (multiplicity 1)  6 O 1.94-1.96
Co  0.2480  0.3754  0.5001 (multiplicity 2)  6 O 1.98-2.07
Co  0.2519  0.8750  0.5000 (multiplicity 2)  6 O 1.93-2.08
O  0.0468  0.7085  0.1064 (multiplicity 2)  1 Co 1.94, 2 Mn 1.98-2.00, 1 Li 2.15
O  0.0501  0.2255  0.1113 (multiplicity 2)  2 Mn 1.93-1.95, 3 Li 2.05-2.16
O  0.1731  0.1599  0.3839 (multiplicity 2)  3 Co 1.96-2.08, 3 Li 2.10-2.15
O  0.1838  0.6574  0.3823 (multiplicity 2)  3 Co 1.98-2.07, 3 Li 2.08-2.10
O  0.3190  0.5903  0.6162 (multiplicity 2)  3 Co 1.98-2.06, 2 Li 2.12-2.13
O  0.3238  0.0935  0.6147 (multiplicity 2)  3 Co 1.93-2.06, 1 Li 2.09
O  0.4400  0.0517  0.8822 (multiplicity 2)  1 Mn 1.82, 2 Li 1.99-2.00
O  0.4539  0.5355  0.8941 (multiplicity 2)  2 Co 1.94-1.96, 1 Mn 2.05, 2 Li 2.14-2.16

Listing DFT formation energy for the structures above in their given order: -2609 959 -1855 meV/atom.